1.
Density functional theory data (meta-GGA r2SCAN) for a relaxed HoB4Rh crystal.

Computed properties:
Magnetic moment: 0.0 μB per formula unit
Energy of formation: -0.6836 eV/atom
Uncorrected energy: -15.084 eV/atom

```
data_HoB4Rh
_cell_length_a 5.9366
_cell_length_b 11.5125
_cell_length_c 3.5460
_cell_angle_alpha 90.00
_cell_angle_beta 90.00
_cell_angle_gamma 90.00
_space_group_name_H-M_alt 'P b a m'
_space_group_IT_number 55
loop_
_space_group_symop_operation_xyz
'x,y,z'
'-x,-y,-z'
'-x,-y,z'
'x,y,-z'
'x+1/2,-y+1/2,-z'
'-x+1/2,y+1/2,z'
'-x+1/2,y+1/2,-z'
'x+1/2,-y+1/2,z'
loop_
_atom_site_label
_atom_site_fract_x
_atom_site_fract_y
_atom_site_fract_z
Ho1 0.1309 0.1488 0.0000
B1 0.0231 0.6925 0.5000
B2 0.1125 0.5469 0.5000
B3 0.1362 0.9692 0.5000
B4 0.2102 0.8130 0.5000
Rh1 0.1420 0.4053 0.0000
```


2.
Density functional theory data (meta-GGA r2SCAN) for a relaxed Ho2B6Rh crystal.

Computed properties:
Magnetic moment: 0.0 μB per formula unit
Energy of formation: -0.7122 eV/atom
Uncorrected energy: -15.599 eV/atom

```
data_Ho2B6Rh
_cell_length_a 9.1422
_cell_length_b 11.4690
_cell_length_c 3.6416
_cell_angle_alpha 90.00
_cell_angle_beta 90.00
_cell_angle_gamma 90.00
_space_group_name_H-M_alt 'P b a m'
_space_group_IT_number 55
loop_
_space_group_symop_operation_xyz
'x,y,z'
'-x,-y,-z'
'-x,-y,z'
'x,y,-z'
'x+1/2,-y+1/2,-z'
'-x+1/2,y+1/2,z'
'-x+1/2,y+1/2,-z'
'x+1/2,-y+1/2,z'
loop_
_atom_site_label
_atom_site_fract_x
_atom_site_fract_y
_atom_site_fract_z
Ho1 0.0556 0.1262 0.0000
Ho2 0.1770 0.4135 0.0000
B1 0.0169 0.2873 0.5000
B2 0.0533 0.5662 0.5000
B3 0.1120 0.9694 0.5000
B4 0.1337 0.8156 0.5000
B5 0.2060 0.2352 0.5000
B6 0.2488 0.5798 0.5000
Rh1 0.1394 0.6789 0.0000
```


3.
Density functional theory data (meta-GGA r2SCAN) for a relaxed Ho2B6Ru crystal.

Computed properties:
Magnetic moment: 0.0 μB per formula unit
Energy of formation: -0.7629 eV/atom
Uncorrected energy: -15.792 eV/atom

```
data_Ho2B6Ru
_cell_length_a 9.1034
_cell_length_b 11.4673
_cell_length_c 3.6421
_cell_angle_alpha 90.00
_cell_angle_beta 90.00
_cell_angle_gamma 90.00
_space_group_name_H-M_alt 'P b a m'
_space_group_IT_number 55
loop_
_space_group_symop_operation_xyz
'x,y,z'
'-x,-y,-z'
'-x,-y,z'
'x,y,-z'
'x+1/2,-y+1/2,-z'
'-x+1/2,y+1/2,z'
'-x+1/2,y+1/2,-z'
'x+1/2,-y+1/2,z'
loop_
_atom_site_label
_atom_site_fract_x
_atom_site_fract_y
_atom_site_fract_z
Ho1 0.0562 0.1273 0.0000
Ho2 0.1778 0.4143 0.0000
B1 0.0166 0.2872 0.5000
B2 0.0538 0.5671 0.5000
B3 0.1101 0.9696 0.5000
B4 0.1319 0.8147 0.5000
B5 0.2093 0.2337 0.5000
B6 0.2477 0.5801 0.5000
Ru1 0.1376 0.6788 0.0000
```


4.
Density functional theory data (meta-GGA r2SCAN) for a relaxed HoB2Ru3 crystal.

Computed properties:
Magnetic moment: 0.0 μB per formula unit
Energy of formation: -0.5192 eV/atom
Uncorrected energy: -21.160 eV/atom

```
data_HoB2Ru3
_cell_length_a 5.4646
_cell_length_b 5.4646
_cell_length_c 3.0195
_cell_angle_alpha 90.00
_cell_angle_beta 90.00
_cell_angle_gamma 120.00
_space_group_name_H-M_alt 'P 6/m m m'
_space_group_IT_number 191
_space_group_name_Hall '-P 6 2'
loop_
_atom_site_label
_atom_site_fract_x
_atom_site_fract_y
_atom_site_fract_z
Ho1 0.0000 0.0000 0.0000
B1 0.3333 0.6667 0.0000
Ru1 0.0000 0.5000 0.5000
```


5.
Density functional theory data (meta-GGA r2SCAN) for a relaxed HoB4Ru crystal.

Computed properties:
Magnetic moment: 0.0 μB per formula unit
Energy of formation: -0.7039 eV/atom
Uncorrected energy: -15.319 eV/atom

```
data_HoB4Ru
_cell_length_a 5.9320
_cell_length_b 11.4726
_cell_length_c 3.5412
_cell_angle_alpha 90.00
_cell_angle_beta 90.00
_cell_angle_gamma 90.00
_space_group_name_H-M_alt 'P b a m'
_space_group_IT_number 55
loop_
_space_group_symop_operation_xyz
'x,y,z'
'-x,-y,-z'
'-x,-y,z'
'x,y,-z'
'x+1/2,-y+1/2,-z'
'-x+1/2,y+1/2,z'
'-x+1/2,y+1/2,-z'
'x+1/2,-y+1/2,z'
loop_
_atom_site_label
_atom_site_fract_x
_atom_site_fract_y
_atom_site_fract_z
Ho1 0.1287 0.1500 0.0000
B1 0.0240 0.6917 0.5000
B2 0.1122 0.5468 0.5000
B3 0.1361 0.9699 0.5000
B4 0.2109 0.8146 0.5000
Ru1 0.1404 0.4073 0.0000
```


6.
Density functional theory data (meta-GGA r2SCAN) for a relaxed Ho5Si2B8 crystal.

Computed properties:
Magnetic moment: 0.0 μB per formula unit
Energy of formation: -0.7578 eV/atom
Uncorrected energy: -16.806 eV/atom

```
data_Ho5Si2B8
_cell_length_a 7.1951
_cell_length_b 7.1951
_cell_length_c 8.0387
_cell_angle_alpha 90.00
_cell_angle_beta 90.00
_cell_angle_gamma 90.00
_space_group_name_H-M_alt 'P 4/m b m'
_space_group_IT_number 127
_space_group_name_Hall '-P 4 2ab'
loop_
_atom_site_label
_atom_site_fract_x
_atom_site_fract_y
_atom_site_fract_z
Ho1 0.0000 0.0000 0.0000
Ho2 0.1808 0.3192 0.2764
Si1 0.1153 0.6153 0.0000
B1 0.0000 0.0000 0.3371
B2 0.0392 0.8278 0.5000
B3 0.0905 0.5905 0.5000
```


7.
Density functional theory data (meta-GGA r2SCAN) for a relaxed HoVB4 crystal.

Computed properties:
Magnetic moment: 0.0 μB per formula unit
Energy of formation: -0.7824 eV/atom
Uncorrected energy: -13.508 eV/atom

```
data_HoVB4
_cell_length_a 5.9868
_cell_length_b 11.5893
_cell_length_c 3.4223
_cell_angle_alpha 90.00
_cell_angle_beta 90.00
_cell_angle_gamma 90.00
_space_group_name_H-M_alt 'P b a m'
_space_group_IT_number 55
loop_
_space_group_symop_operation_xyz
'x,y,z'
'-x,-y,-z'
'-x,-y,z'
'x,y,-z'
'x+1/2,-y+1/2,-z'
'-x+1/2,y+1/2,z'
'-x+1/2,y+1/2,-z'
'x+1/2,-y+1/2,z'
loop_
_atom_site_label
_atom_site_fract_x
_atom_site_fract_y
_atom_site_fract_z
Ho1 0.1243 0.1515 0.0000
V1 0.1274 0.4169 0.0000
B1 0.0231 0.6923 0.5000
B2 0.1150 0.5476 0.5000
B3 0.1358 0.9676 0.5000
B4 0.2134 0.8144 0.5000
```


8.
Density functional theory data (meta-GGA r2SCAN) for a relaxed BI3 crystal.

Computed properties:
Magnetic moment: 0.0 μB per formula unit
Energy of formation: -0.1069 eV/atom
Uncorrected energy: -20.363 eV/atom

```
data_BI3
_cell_length_a 7.2185
_cell_length_b 7.2185
_cell_length_c 7.6078
_cell_angle_alpha 90.00
_cell_angle_beta 90.00
_cell_angle_gamma 120.00
_space_group_name_H-M_alt 'P 63/m'
_space_group_IT_number 176
_space_group_name_Hall '-P 6c'
loop_
_atom_site_label
_atom_site_fract_x
_atom_site_fract_y
_atom_site_fract_z
B1 0.3333 0.6667 0.2500
I1 0.0530 0.3605 0.2500
```


9.
Density functional theory data (meta-GGA r2SCAN) for a relaxed In2Ni21B6 crystal.

Computed properties:
Magnetic moment: 1.8 μB per formula unit
Energy of formation: -0.2501 eV/atom
Uncorrected energy: -12.004 eV/atom

```
data_In2Ni21B6
_cell_length_a 10.4887
_cell_length_b 10.4887
_cell_length_c 10.4887
_cell_angle_alpha 90.00
_cell_angle_beta 90.00
_cell_angle_gamma 90.00
_space_group_name_H-M_alt 'F m -3 m'
_space_group_IT_number 225
_space_group_name_Hall '-F 4 2 3'
loop_
_atom_site_label
_atom_site_fract_x
_atom_site_fract_y
_atom_site_fract_z
In1 0.2500 0.2500 0.2500
Ni1 0.0000 0.0000 0.0000
Ni2 0.0000 0.1680 0.1680
Ni3 0.1139 0.1139 0.3861
B1 0.0000 0.0000 0.2727
```


10.
Density functional theory data (meta-GGA r2SCAN) for a relaxed LaB2Ir3 crystal.

Computed properties:
Magnetic moment: 0.1 μB per formula unit
Energy of formation: -0.7186 eV/atom
Uncorrected energy: -34.305 eV/atom

```
data_LaB2Ir3
_cell_length_a 5.6298
_cell_length_b 5.6298
_cell_length_c 3.0395
_cell_angle_alpha 90.00
_cell_angle_beta 90.00
_cell_angle_gamma 120.00
_space_group_name_H-M_alt 'P 6/m m m'
_space_group_IT_number 191
_space_group_name_Hall '-P 6 2'
loop_
_atom_site_label
_atom_site_fract_x
_atom_site_fract_y
_atom_site_fract_z
La1 0.0000 0.0000 0.0000
B1 0.3333 0.6667 0.0000
Ir1 0.0000 0.5000 0.5000
```


11.
Density functional theory data (meta-GGA r2SCAN) for a relaxed LaB4Ir4 crystal.

Computed properties:
Magnetic moment: 0.0 μB per formula unit
Energy of formation: -0.6472 eV/atom
Uncorrected energy: -30.488 eV/atom

```
data_LaB4Ir4
_cell_length_a 7.7249
_cell_length_b 7.7249
_cell_length_c 3.9724
_cell_angle_alpha 90.00
_cell_angle_beta 90.00
_cell_angle_gamma 90.00
_space_group_name_H-M_alt 'P 42/n'
_space_group_IT_number 86
loop_
_space_group_symop_operation_xyz
'x,y,z'
'-x,-y,-z'
'-y,x+1/2,z+1/2'
'y,-x+1/2,-z+1/2'
'-x+1/2,-y+1/2,z'
'x+1/2,y+1/2,-z'
'y+1/2,-x,z+1/2'
'-y+1/2,x,-z+1/2'
loop_
_atom_site_label
_atom_site_fract_x
_atom_site_fract_y
_atom_site_fract_z
La1 0.2500 0.2500 0.2500
B1 0.0297 0.9083 0.1443
Ir1 0.0911 0.6407 0.1439
```


12.
Density functional theory data (meta-GGA r2SCAN) for a relaxed LuB2Ir3 crystal.

Computed properties:
Magnetic moment: 0.0 μB per formula unit
Energy of formation: -0.7578 eV/atom
Uncorrected energy: -35.733 eV/atom

```
data_LuB2Ir3
_cell_length_a 5.4041
_cell_length_b 5.4041
_cell_length_c 3.1341
_cell_angle_alpha 90.00
_cell_angle_beta 90.00
_cell_angle_gamma 120.00
_space_group_name_H-M_alt 'P 6/m m m'
_space_group_IT_number 191
_space_group_name_Hall '-P 6 2'
loop_
_atom_site_label
_atom_site_fract_x
_atom_site_fract_y
_atom_site_fract_z
Lu1 0.0000 0.0000 0.0000
B1 0.3333 0.6667 0.0000
Ir1 0.0000 0.5000 0.5000
```